Computed, not measured: an optimized crystal structure of Ce2CoRu3 at the r2SCAN level of DFT.

Cell lengths 5.023, 5.023, 5.023 Å; angles 67.13, 67.13, 67.13 degrees
Fractional positions:
Ce1 0.131 0.131 0.131
Ce2 0.869 0.869 0.869
Co1 0.500 0.500 0.500
Ru1 0.000 0.500 0.500
Ru2 0.500 0.000 0.500
Ru3 0.500 0.500 0.000

Values from the calculation:
M_tot: 1.65 Bohr magnetons per cell
space-group type: R-3m (166)
energy of formation from the pure elements: -0.264 eV/atom